(1)
First-principles (GGA-PBE) data for an optimized crystal structure of Cs3Re6S8Cl6, as listed in the Materials Project database.

space group: P2_1/c
DFT total energy: -288.452 eV/cell
energy with MP2020 corrections: -6.606 eV per atom
size of the total moment: 1.99 Bohr magnetons per cell
formation energy: -1.322 eV per atom

Unit cell a=9.346 b=13.065 c=11.254 alpha=90.00 beta=107.03 gamma=90.00
Element x y z (fractional)
Cs: 0.000 0.000 0.000
Cs: 0.000 0.500 0.500
Cs: 0.477 0.241 0.865
Cs: 0.477 0.259 0.365
Cs: 0.523 0.741 0.635
Cs: 0.523 0.759 0.135
Re: 0.103 0.125 0.526
Re: 0.103 0.375 0.026
Re: 0.117 0.544 0.900
Re: 0.117 0.956 0.400
Re: 0.137 0.553 0.137
Re: 0.137 0.947 0.637
Re: 0.863 0.053 0.363
Re: 0.863 0.447 0.863
Re: 0.883 0.044 0.600
Re: 0.883 0.456 0.100
Re: 0.897 0.625 0.974
Re: 0.897 0.875 0.474
S: 0.074 0.125 0.306
S: 0.074 0.375 0.806
S: 0.113 0.108 0.741
S: 0.113 0.392 0.241
S: 0.137 0.706 0.010
S: 0.137 0.794 0.510
S: 0.329 0.026 0.557
S: 0.329 0.474 0.057
S: 0.671 0.526 0.943
S: 0.671 0.974 0.443
S: 0.863 0.206 0.490
S: 0.863 0.294 0.990
S: 0.887 0.608 0.759
S: 0.887 0.892 0.259
S: 0.926 0.625 0.194
S: 0.926 0.875 0.694
Cl: 0.245 0.213 0.062
Cl: 0.245 0.287 0.562
Cl: 0.271 0.595 0.769
Cl: 0.271 0.905 0.269
Cl: 0.326 0.614 0.323
Cl: 0.326 0.886 0.823
Cl: 0.674 0.114 0.177
Cl: 0.674 0.386 0.677
Cl: 0.729 0.095 0.731
Cl: 0.729 0.405 0.231
Cl: 0.755 0.713 0.438
Cl: 0.755 0.787 0.938

---

(2)
First-principles (GGA-PBE) data for an optimized crystal structure of UO2, as listed in the Materials Project database.

space group: P4_2/mnm
DFT total energy: -61.374 eV/cell
energy with MP2020 corrections: -10.687 eV per atom
size of the total moment: 3.96 Bohr magnetons per cell
formation energy: -3.625 eV per atom

Unit cell a=5.139 b=5.139 c=3.590 alpha=90.00 beta=90.00 gamma=90.00
Element x y z (fractional)
U: 0.000 0.000 0.000
U: 0.500 0.500 0.500
O: 0.191 0.191 0.500
O: 0.309 0.691 0.000
O: 0.691 0.309 0.000
O: 0.809 0.809 0.500

---

(3)
First-principles (GGA-PBE) data for an optimized crystal structure of BaC2O5, as listed in the Materials Project database.

space group: C2/m
DFT total energy: -111.000 eV/cell
energy with MP2020 corrections: -7.367 eV per atom
size of the total moment: 4.00 Bohr magnetons per cell
formation energy: -1.727 eV per atom

Unit cell a=6.666 b=6.666 c=6.982 alpha=115.67 beta=115.67 gamma=75.57
Element x y z (fractional)
Ba: 0.222 0.222 0.321
Ba: 0.778 0.778 0.679
C: 0.038 0.246 0.762
C: 0.246 0.038 0.762
C: 0.754 0.962 0.238
C: 0.962 0.754 0.238
O: 0.021 0.356 0.649
O: 0.072 0.745 0.128
O: 0.255 0.928 0.872
O: 0.356 0.021 0.649
O: 0.478 0.478 0.323
O: 0.522 0.522 0.677
O: 0.644 0.979 0.351
O: 0.745 0.072 0.128
O: 0.928 0.255 0.872
O: 0.979 0.644 0.351

---

(4)
First-principles (GGA-PBE) data for an optimized crystal structure of InBi, as listed in the Materials Project database.

space group: P4/nmm
DFT total energy: -13.288 eV/cell
formation energy: -0.001 eV per atom

Unit cell a=4.986 b=4.986 c=4.985 alpha=90.00 beta=90.00 gamma=90.00
Element x y z (fractional)
In: 0.250 0.750 0.000
In: 0.750 0.250 0.000
Bi: 0.250 0.250 0.398
Bi: 0.750 0.750 0.602